Entry 1:
## CsK3 (PBE)

Data for crystalline CsK3 at its relaxed geometry. Values from VASP.

```
&SYSTEM
  ibrav = 0, nat = 8, ntyp = 2
/
ATOMIC_SPECIES
Cs 132.91 Cs.upf
K 39.10 K.upf
ATOMIC_POSITIONS angstrom
Cs 0.000 5.746 1.955
Cs 4.976 2.873 5.866
K 0.000 2.782 5.866
K -2.567 7.228 5.866
K 2.409 1.391 1.955
K 2.567 7.228 5.866
K 7.543 1.391 1.955
K 4.976 5.837 1.955
CELL_PARAMETERS angstrom
9.952 0.000 0.000
-4.976 8.619 0.000
0.000 0.000 7.821
```

Output
Calculated formation energy = 36 meV/atom



Entry 2:
## Mg6AlV (PBE)

Data for crystalline Mg6AlV at its relaxed geometry. Values from VASP.

```
&SYSTEM
  ibrav = 0, nat = 16, ntyp = 3
/
ATOMIC_SPECIES
V 50.94 V.upf
Mg 24.30 Mg.upf
Al 26.98 Al.upf
ATOMIC_POSITIONS angstrom
V 2.473 3.100 1.859
V 2.473 0.000 7.222
Mg 2.473 4.680 9.828
Mg 0.000 1.598 0.922
Mg 2.473 3.100 7.144
Mg 2.473 0.000 1.781
Mg 2.473 4.619 4.465
Mg 0.000 4.601 0.922
Mg 0.000 4.698 6.285
Mg 0.000 1.502 6.285
Mg 2.473 1.519 9.828
Mg 0.000 0.000 3.575
Mg 0.000 3.100 8.938
Mg 2.473 1.581 4.465
Al 0.000 0.000 8.828
Al 0.000 3.100 3.465
CELL_PARAMETERS angstrom
4.946 0.000 0.000
0.000 6.199 0.000
0.000 0.000 10.726
```

Output
Calculated formation energy = 133 meV/atom
Energy relative to the lowest polymorph listed for this composition = 0.00 eV per formula unit



Entry 3:
## EuAs3 (PBE)

Data for crystalline EuAs3 at its relaxed geometry. Values from VASP.

```
&SYSTEM
  ibrav = 0, nat = 8, ntyp = 2
/
ATOMIC_SPECIES
Eu 151.96 Eu.upf
As 74.92 As.upf
ATOMIC_POSITIONS angstrom
Eu 0.849 0.000 1.761
Eu 6.415 0.000 3.581
As 2.972 2.106 1.076
As 4.292 2.106 4.267
As 2.941 0.000 4.131
As 4.323 0.000 1.211
As 2.972 -2.106 1.076
As 4.292 -2.106 4.267
CELL_PARAMETERS angstrom
4.709 -3.819 0.000
4.709 3.819 0.000
-2.153 0.000 5.342
```

Output
Calculated formation energy = -635 meV/atom



Entry 4:
## LiTaSiO5 (PBE)

Data for crystalline LiTaSiO5 at its relaxed geometry. Values from VASP.

```
&SYSTEM
  ibrav = 0, nat = 32, ntyp = 4
/
ATOMIC_SPECIES
Li 6.94 Li.upf
Ta 180.95 Ta.upf
Si 28.09 Si.upf
O 16.00 O.upf
ATOMIC_POSITIONS angstrom
Li 1.163 0.542 1.276
Li -0.680 3.453 4.566
Li 4.491 4.537 2.014
Li 2.648 7.448 5.304
Ta -1.767 5.913 6.523
Ta 0.075 6.071 3.233
Ta 3.736 1.919 3.347
Ta 5.579 2.076 0.057
Si -0.914 0.863 4.988
Si 0.929 3.132 1.698
Si 2.882 4.858 4.882
Si 4.725 7.127 1.592
O -1.962 1.880 4.241
O -0.119 2.115 0.951
O 0.203 4.073 2.831
O -1.639 7.912 6.121
O -0.887 5.370 4.918
O 0.956 6.615 1.628
O 1.676 4.103 0.606
O -0.167 7.881 3.896
O 0.167 1.918 5.626
O 2.009 2.077 2.336
O 1.802 5.913 4.244
O 3.644 6.071 0.954
O 3.978 0.108 2.684
O 2.136 3.887 5.974
O 2.856 1.375 4.952
O 4.698 2.620 1.662
O 5.450 0.078 0.459
O 3.608 3.917 3.749
O 3.930 5.875 5.629
O 5.773 6.109 2.339
CELL_PARAMETERS angstrom
7.496 0.000 0.000
0.000 7.990 0.000
-3.685 0.000 6.580
```

Output
Calculated formation energy = -3196 meV/atom



Entry 5:
## Bi (PBE)

Data for crystalline Bi at its relaxed geometry. Values from VASP.

```
&SYSTEM
  ibrav = 0, nat = 4, ntyp = 1
/
ATOMIC_SPECIES
Bi 208.98 Bi.upf
ATOMIC_POSITIONS angstrom
Bi 0.341 1.144 1.427
Bi 0.458 1.144 4.531
Bi 2.643 3.433 2.112
Bi 2.760 3.433 5.215
CELL_PARAMETERS angstrom
4.613 0.000 0.000
0.000 4.578 0.000
-1.512 0.000 6.642
```

Output
Calculated formation energy = 86 meV/atom
Energy relative to the lowest polymorph listed for this composition = 0.09 eV per formula unit



Entry 6:
## KSbO3 (PBE)

Data for crystalline KSbO3 at its relaxed geometry. Values from VASP.

```
&SYSTEM
  ibrav = 0, nat = 10, ntyp = 3
/
ATOMIC_SPECIES
K 39.10 K.upf
Sb 121.76 Sb.upf
O 16.00 O.upf
ATOMIC_POSITIONS angstrom
K 0.995 1.187 1.167
K 5.443 4.714 7.075
Sb 2.312 1.599 5.236
Sb 4.126 4.302 3.005
O 1.320 0.132 3.888
O 2.203 0.606 6.842
O 2.237 3.317 2.861
O 4.202 2.584 5.381
O 4.235 5.295 1.399
O 5.119 5.768 4.354
CELL_PARAMETERS angstrom
3.745 0.000 0.000
1.401 5.930 0.000
1.292 -0.029 8.242
```

Output
Calculated formation energy = -1238 meV/atom



Entry 7:
## ZrCoGe (PBE)

Data for crystalline ZrCoGe at its relaxed geometry. Values from VASP.

```
&SYSTEM
  ibrav = 0, nat = 12, ntyp = 3
/
ATOMIC_SPECIES
Zr 91.22 Zr.upf
Co 58.93 Co.upf
Ge 72.64 Ge.upf
ATOMIC_POSITIONS angstrom
Zr 0.062 0.985 1.445
Zr 3.223 2.955 5.074
Zr 3.346 0.985 2.185
Zr 6.507 2.955 5.815
Co 0.928 0.985 4.129
Co 2.357 2.955 0.499
Co 4.212 0.985 6.760
Co 5.641 2.955 3.130
Ge 1.484 2.955 2.866
Ge 1.800 0.985 6.495
Ge 4.769 2.955 0.764
Ge 5.085 0.985 4.393
CELL_PARAMETERS angstrom
6.569 0.000 0.000
0.000 3.940 0.000
0.000 0.000 7.259
```

Output
Calculated formation energy = -706 meV/atom



Entry 8:
## Na6NbIn3Si2P4O24 (PBE)

Data for crystalline Na6NbIn3Si2P4O24 at its relaxed geometry. Values from VASP.

```
&SYSTEM
  ibrav = 0, nat = 120, ntyp = 6
/
ATOMIC_SPECIES
Na 22.99 Na.upf
Nb 92.91 Nb.upf
In 114.82 In.upf
Si 28.09 Si.upf
P 30.97 P.upf
O 16.00 O.upf
ATOMIC_POSITIONS angstrom
Na 0.000 0.000 0.000
Na 4.462 7.745 11.049
Na 1.494 2.260 9.232
Na 3.249 5.179 20.539
Na 5.888 5.436 1.761
Na 7.212 7.608 12.970
Na 4.402 2.514 7.395
Na 4.456 2.408 18.763
Na 7.363 2.676 5.594
Na 7.238 2.251 20.599
Na 8.969 5.261 15.036
Na 8.962 5.229 3.760
Na 6.065 0.132 9.118
Na 7.823 2.491 13.026
Na 10.754 7.600 1.803
Na 11.816 5.482 13.125
Na 10.510 2.764 16.884
Na 11.832 5.013 5.467
Nb 4.375 2.575 15.367
Nb 4.369 2.448 3.950
Nb 8.952 5.157 0.377
In 4.339 2.480 22.059
In 4.383 2.559 10.741
In 8.891 5.230 7.021
In 8.955 5.258 18.216
In 8.947 5.173 11.522
In 13.503 7.813 14.623
In 13.534 7.843 3.249
In 13.548 7.794 7.671
In 13.572 7.779 19.032
Si 1.667 2.504 12.988
Si 3.033 4.836 1.674
Si 3.007 0.152 1.665
Si 7.088 2.520 1.664
Si 10.753 7.827 5.495
Si 12.142 5.461 16.770
P 7.128 7.858 16.695
P 5.724 5.374 5.430
P 5.721 4.855 13.024
P 7.562 7.564 9.331
P 6.301 5.188 20.547
P 5.730 0.223 12.989
P 10.303 7.523 20.546
P 7.596 2.767 9.256
P 7.566 2.255 16.784
P 10.283 2.861 20.485
P 11.695 5.188 9.256
P 10.366 2.252 5.547
O 9.830 1.198 13.149
O 3.667 6.057 18.124
O 1.067 1.478 6.881
O 2.678 2.773 20.593
O 3.355 3.847 2.975
O 3.404 3.892 9.317
O 2.767 2.657 14.261
O 2.518 2.219 11.636
O 3.728 4.291 0.324
O 2.766 2.463 5.326
O 1.643 0.295 17.866
O 3.724 3.918 16.575
O 5.116 6.269 13.150
O 6.032 7.778 9.190
O 5.050 6.037 6.653
O 6.030 7.720 1.904
O 5.430 6.466 20.551
O 6.360 7.695 15.368
O 5.517 6.168 4.142
O 3.183 1.001 0.336
O 5.108 4.253 11.759
O 5.003 3.969 5.330
O 3.493 1.197 16.556
O 3.693 1.023 9.319
O 5.363 3.933 14.245
O 5.397 3.920 20.591
O 3.760 0.950 2.939
O 7.805 6.814 10.681
O 7.231 5.261 21.831
O 8.038 6.642 16.856
O 8.222 6.842 8.153
O 7.188 4.993 19.312
O 7.235 5.053 5.583
O 6.017 2.770 2.944
O 7.274 4.926 13.011
O 5.138 1.057 14.167
O 5.283 1.274 5.282
O 6.061 2.534 9.303
O 8.417 6.651 1.593
O 5.208 1.023 20.586
O 6.019 2.367 16.558
O 6.251 2.268 0.310
O 5.554 1.002 11.668
O 9.543 6.800 13.005
O 7.921 3.965 1.590
O 9.771 6.863 19.276
O 7.911 3.573 7.979
O 8.158 3.674 16.882
O 9.890 6.649 21.806
O 9.846 6.476 5.611
O 8.156 3.436 10.552
O 7.086 0.261 6.827
O 7.790 1.399 18.049
O 7.257 0.013 13.132
O 8.241 1.655 15.519
O 8.026 1.241 1.878
O 11.674 7.564 4.188
O 8.302 1.372 9.213
O 11.868 7.558 20.581
O 9.677 3.721 21.684
O 9.736 3.677 5.618
O 10.554 5.079 16.815
O 10.512 4.945 1.541
O 9.949 3.912 13.011
O 10.850 5.399 10.560
O 10.013 3.622 19.172
O 10.788 4.988 8.019
O 9.522 1.508 20.521
O 9.671 1.554 4.385
O 12.386 6.264 15.379
O 12.550 6.478 9.146
O 12.733 6.337 1.867
CELL_PARAMETERS angstrom
9.140 0.000 0.000
4.557 7.948 0.000
0.017 0.013 22.547
```

Output
Calculated formation energy = -2628 meV/atom



Entry 9:
## V2OsRu (PBE)

Data for crystalline V2OsRu at its relaxed geometry. Values from VASP.

```
&SYSTEM
  ibrav = 0, nat = 4, ntyp = 3
/
ATOMIC_SPECIES
V 50.94 V.upf
Os 190.23 Os.upf
Ru 101.07 Ru.upf
ATOMIC_POSITIONS angstrom
V 1.509 1.509 1.509
V 4.528 4.528 4.528
Os 0.000 0.000 0.000
Ru 3.018 3.018 3.018
CELL_PARAMETERS angstrom
0.000 3.018 3.018
3.018 0.000 3.018
3.018 3.018 0.000
```

Output
Calculated formation energy = -242 meV/atom



Entry 10:
## Er2Zn17 (PBE)

Data for crystalline Er2Zn17 at its relaxed geometry. Values from VASP.

```
&SYSTEM
  ibrav = 0, nat = 19, ntyp = 2
/
ATOMIC_SPECIES
Er 167.26 Er.upf
Zn 65.41 Zn.upf
ATOMIC_POSITIONS angstrom
Er 0.000 0.000 2.180
Er 0.000 0.000 11.023
Zn -2.236 -1.291 4.401
Zn 0.000 -2.657 4.214
Zn -2.301 1.328 4.214
Zn -1.335 -2.313 6.601
Zn -2.671 0.000 6.601
Zn -2.301 -1.328 8.989
Zn 0.000 0.000 5.278
Zn -2.236 1.291 8.802
Zn 1.335 -2.313 6.601
Zn 0.000 2.582 4.401
Zn -1.335 2.313 6.601
Zn 0.000 0.000 7.925
Zn 2.301 1.328 4.214
Zn 2.671 0.000 6.601
Zn 1.335 2.313 6.601
Zn 2.301 -1.328 8.989
Zn 0.000 2.657 8.989
CELL_PARAMETERS angstrom
4.472 2.582 4.401
-4.472 2.582 4.401
0.000 -5.164 4.401
```

Output
Calculated formation energy = -231 meV/atom
Energy relative to the lowest polymorph listed for this composition = 0.00 eV per formula unit



Entry 11:
## AlSb (PBE)

Data for crystalline AlSb at its relaxed geometry. Values from VASP.

```
&SYSTEM
  ibrav = 0, nat = 2, ntyp = 2
/
ATOMIC_SPECIES
Al 26.98 Al.upf
Sb 121.76 Sb.upf
ATOMIC_POSITIONS angstrom
Al 0.000 0.000 0.000
Sb 0.000 2.718 0.800
CELL_PARAMETERS angstrom
-2.718 2.718 1.600
2.718 -2.718 1.600
2.718 2.718 -1.600
```

Output
Calculated formation energy = -17 meV/atom



Entry 12:
## Hf3Se (PBE)

Data for crystalline Hf3Se at its relaxed geometry. Values from VASP.

```
&SYSTEM
  ibrav = 0, nat = 4, ntyp = 2
/
ATOMIC_SPECIES
Hf 178.49 Hf.upf
Se 78.96 Se.upf
ATOMIC_POSITIONS angstrom
Hf 0.000 0.000 2.169
Hf 0.000 2.169 0.000
Hf 2.169 0.000 0.000
Se 2.169 2.169 2.169
CELL_PARAMETERS angstrom
4.338 0.000 0.000
0.000 4.338 0.000
0.000 0.000 4.338
```

Output
Calculated formation energy = -218 meV/atom